[1]
The following is a DFT calculation (PBE+U) of an optimized crystal structure of Fe2P2H4NO8.

Structure (extended XYZ):
```
136
Lattice="10.1339 -7.5385 0.0000 10.1339 7.5385 0.0000 -5.0242 0.0000 8.7835" Properties=species:S:1:pos:R:3 pbc="T T T"
Fe 3.6459 2.8429 5.2671
Fe 6.3658 4.7813 6.5876
Fe 3.8075 0.9426 2.2011
Fe 8.8778 2.9183 2.1959
Fe 1.2954 -0.9426 6.5928
Fe 4.0153 0.9884 7.9931
Fe 9.0857 2.8429 7.9080
Fe 6.5274 -0.9884 3.6014
Fe 8.7162 0.9884 5.1821
Fe 6.1580 -2.8429 0.8754
Fe 11.2283 -0.9884 0.7903
Fe 13.9482 0.9426 2.1907
Fe 6.3658 -2.9183 6.5876
Fe 11.4361 -0.9426 6.5824
Fe 8.8778 -4.7813 2.1959
Fe 11.5978 -2.8429 3.5163
P 1.0425 1.3328 4.0843
P 3.3877 4.3655 8.0612
P 6.1489 2.4905 4.0326
P -1.4696 -1.3328 8.4761
P 9.3438 4.3655 5.1140
P 6.7483 0.5711 0.7699
P 4.2362 -0.5711 5.1617
P 11.6068 2.4905 0.3591
P 3.6369 -2.4905 8.4244
P 11.0074 0.5711 3.6218
P 8.4953 -0.5711 8.0135
P 5.8998 -4.3655 3.6695
P 16.7132 1.3328 0.3074
P 9.0947 -2.4905 4.7508
P 11.8559 -4.3655 0.7222
P 14.2011 -1.3328 4.6991
H 0.8046 3.6129 7.3654
H 8.0180 7.1970 3.2255
H 6.8015 6.2045 3.8619
H 9.7377 7.1970 1.1662
H 5.9065 4.2788 1.7398
H 7.6057 5.7698 2.4454
H 0.4245 2.1272 6.6658
H 0.0497 2.3727 8.2795
H -1.4404 0.4091 6.3777
H 1.0717 -0.4091 1.9860
H 10.9542 6.2045 0.5298
H 10.1500 5.7698 1.9464
H 2.9366 -2.1272 2.2741
H 11.8492 4.2788 2.6520
H 2.5618 -2.3727 3.8878
H 3.3167 -3.6129 2.9737
H 11.9269 3.6129 5.8098
H 12.6818 2.3727 4.8957
H 3.3944 -4.2788 6.1315
H 12.3070 2.1272 6.5094
H 5.0936 -5.7698 6.8371
H 4.2894 -6.2045 8.2537
H 14.1719 0.4091 6.7975
H 16.6840 -0.4091 2.4057
H 15.1939 -2.3727 0.5040
H 14.8191 -2.1272 2.1177
H 7.6379 -5.7698 6.3381
H 9.3371 -4.2788 7.0437
H 5.5059 -7.1970 7.6172
H 8.4421 -6.2045 4.9215
H 7.2256 -7.1970 5.5580
H 14.4390 -3.6129 1.4180
N 7.2429 6.5694 2.9852
N 0.1055 2.8441 7.3475
N 10.5128 6.5694 1.4066
N 2.6176 -2.8441 2.9558
N 12.6260 2.8441 5.8277
N 4.7308 -6.5694 7.3769
N 15.1381 -2.8441 1.4360
N 8.0007 -6.5694 5.7983
O 5.5198 6.0957 5.2633
O 2.9954 2.4507 1.2303
O 1.6981 2.7189 4.3711
O 4.6795 5.1229 7.6989
O 1.9375 0.5437 3.0961
O 8.2434 4.2555 0.8224
O 0.8827 0.6279 5.4579
O 7.2117 6.0957 7.9119
O 4.7063 2.2832 3.4564
O 3.4034 2.9604 7.3656
O 5.4462 1.3554 1.0088
O 8.0520 5.1229 5.4762
O 7.0182 3.2957 3.0494
O -0.5746 -0.5437 7.4878
O 5.8249 3.2819 5.3362
O 3.3948 -0.6279 1.0662
O 9.5123 4.2555 3.5694
O 1.9593 0.3857 8.0110
O 4.1765 0.7856 5.9044
O 8.0119 1.3945 1.1643
O 6.9066 3.2819 7.8390
O 0.4833 -2.4507 5.6220
O 4.4714 -0.3857 3.6193
O 10.7375 3.2957 1.3423
O 6.8466 1.1414 4.3543
O -0.8140 -2.7189 8.7629
O 2.9341 -1.3554 5.4006
O 6.6886 -0.7856 1.5127
O 9.3281 2.9604 5.8096
O 10.9091 1.1414 0.0374
O 9.7438 1.3945 3.2274
O 2.1942 -2.2832 7.8481
O 13.0494 2.2832 0.9353
O 5.4998 -1.3945 5.5560
O 4.3345 -1.1414 8.7461
O 5.9155 -2.9604 2.9738
O 8.5550 0.7856 7.2708
O 12.3095 1.3554 3.3829
O 16.0576 2.7189 0.0206
O 8.3970 -1.1414 4.4291
O 4.5061 -3.2957 7.4412
O 10.7722 0.3857 5.1642
O 14.7603 2.4507 3.1614
O 8.3370 -3.2819 0.9445
O 7.2317 -1.3945 7.6192
O 11.0671 -0.7856 2.8791
O 13.2843 -0.3857 0.7725
O 5.7313 -4.2555 5.2141
O 11.8488 0.6279 7.7172
O 9.4187 -3.2819 3.4472
O 15.8181 0.5437 1.2956
O 8.2254 -3.2957 5.7340
O 7.1916 -5.1229 3.3072
O 9.7974 -1.3554 7.7746
O 11.8402 -2.9604 1.4179
O 10.5373 -2.2832 5.3270
O 8.0319 -6.0957 0.8716
O 14.3609 -0.6279 3.3255
O 7.0002 -4.2555 7.9611
O 13.3061 -0.5437 5.6873
O 10.5641 -5.1229 1.0845
O 13.5455 -2.7189 4.4123
O 12.2482 -2.4507 7.5532
O 9.7238 -6.0957 3.5202
```

Output
Corrected total energy (MP2020 scheme), eV per atom: -7.080
Crystal system: monoclinic
Energy above the most stable polymorph in this dataset, meV per atom: 0
Energy, eV/atom: -6.4908

[2]
The following is a DFT calculation (PBE+U) of an optimized crystal structure of Fe2P2H9NO11.

Structure (extended XYZ):
```
100
Lattice="9.9341 0.0000 0.0000 0.0000 9.8068 0.0000 -7.5934 0.0000 9.7699" Properties=species:S:1:pos:R:3 pbc="T T T"
Fe -0.8436 0.4246 1.2621
Fe -4.6403 4.4788 6.1471
Fe 1.4625 7.2085 1.8513
Fe -2.3342 7.5017 6.7362
Fe 4.6749 2.3051 3.0337
Fe 0.8782 2.5983 7.9187
Fe 6.9810 5.3280 3.6229
Fe 3.1843 9.3822 8.5078
P -4.9857 6.6749 8.5227
P -1.1890 8.0353 3.6378
P 2.3490 0.4075 1.4246
P -1.4477 4.4959 6.3095
P 3.7884 5.3109 3.4604
P -0.0083 9.3993 8.3454
P 3.5297 1.7715 6.1322
P 7.3264 3.1319 1.2472
H -7.0391 2.0035 9.4959
H -3.2424 2.8999 4.6110
H -0.5714 5.1728 1.8244
H -4.3681 9.5375 6.7093
H -2.9822 0.2065 5.9916
H 0.8145 4.6969 1.1066
H -1.6691 0.8307 4.4749
H -5.4659 4.0728 9.3599
H -3.7744 1.3718 8.9050
H 0.0223 3.5316 4.0200
H -1.3020 1.4513 5.8799
H 2.4947 3.4521 0.9950
H 0.7617 2.1877 3.2331
H -3.0351 2.7157 8.1181
H -2.1418 1.3394 8.3819
H 1.6549 3.5640 3.4969
H -2.5756 2.2668 9.7072
H 1.2211 2.6366 4.8222
H 1.1196 7.1702 4.9477
H 4.9163 7.5400 0.0627
H 0.6858 6.2428 6.2730
H 4.4825 8.4674 1.3881
H 5.3757 7.0912 1.6519
H 1.5790 7.6191 6.5368
H -0.1541 6.3547 8.7750
H 3.6427 8.3556 3.8900
H 2.3184 6.2752 5.7499
H 6.1151 8.4351 0.8650
H 7.8065 5.7341 0.4101
H 4.0098 8.9762 5.2950
H 1.5262 5.1099 8.6634
H 5.3229 9.6003 3.7784
H 6.7088 0.2693 3.0606
H 2.9121 4.6341 7.9456
H 5.5831 6.9069 5.1590
H 9.3798 7.8034 0.2740
N -2.9038 1.9193 8.7786
N 0.8930 2.9841 3.8937
N 1.4477 6.8227 5.8763
N 5.2444 7.8876 0.9913
O -2.1487 7.0035 3.0053
O -5.9454 7.7068 7.8903
O -3.6450 6.2894 5.4749
O 0.1517 8.4209 0.5899
O -5.3020 5.2760 7.8806
O -1.5052 9.4342 2.9956
O 0.3718 5.4162 1.6540
O -3.4249 9.2941 6.5390
O -2.0331 1.3560 5.2281
O 1.7636 3.5474 0.3431
O -5.2586 0.2604 9.6357
O -1.4618 4.6430 4.7507
O 0.9678 0.9171 1.9386
O -2.8289 3.9864 6.8236
O 2.4200 6.5545 0.2716
O -1.3767 8.1557 5.1565
O -3.5032 7.0442 8.2676
O 0.2936 7.6660 3.3826
O -1.1302 5.8795 6.9474
O 2.6665 8.8307 2.0624
O 3.4489 1.4147 1.7603
O -0.3479 3.4887 6.6452
O 2.6885 6.3181 3.1247
O -1.1082 8.3922 8.0097
O -0.3258 0.9761 7.7075
O 3.4709 3.9273 2.8226
O 2.0471 2.1408 6.3873
O 5.8438 2.7626 1.5023
O 3.7174 1.6511 4.6134
O -0.0793 3.2523 9.4984
O 5.1696 5.8205 2.9463
O 1.3728 8.8898 7.8313
O 3.8025 5.1638 5.0192
O 7.5992 9.5464 0.1342
O 0.5770 6.2594 9.4268
O 4.3738 8.4508 4.5419
O 5.7656 0.5127 3.2310
O 1.9689 4.3907 8.1159
O 3.8459 0.3726 6.7743
O 7.6426 4.5308 1.8894
O 2.1890 1.3860 9.1800
O 5.9857 3.5175 4.2950
O 8.2861 2.1000 1.8796
O 4.4894 2.8034 6.7646
```

Output
Corrected total energy (MP2020 scheme), eV per atom: -6.512
Crystal system: monoclinic
Energy, eV/atom: -6.0290

[3]
The following is a DFT calculation (PBE+U) of an optimized crystal structure of Fe3H10S2NO14.

Structure (extended XYZ):
```
30
Lattice="3.7212 2.1485 5.8976 -3.7212 2.1485 5.8976 0.0000 -4.2969 5.8976" Properties=species:S:1:pos:R:3 pbc="T T T"
Fe 1.8582 1.0728 11.7951
Fe -1.8582 1.0728 11.7951
Fe 0.0000 -2.1457 11.7951
H 0.0000 -2.4989 6.9209
H -2.1641 1.2495 6.9209
H -2.2252 -1.2847 10.8855
H -0.8330 -0.4809 9.2347
H 0.0000 0.0000 7.8472
H 0.8330 -0.4809 9.2347
H 0.0000 0.9618 9.2347
H 2.1641 1.2495 6.9209
H 2.2252 -1.2847 10.8856
H 0.0000 2.5694 10.8856
S 0.0000 0.0000 3.4481
S 0.0000 0.0000 14.2629
N 0.0000 0.0000 8.8739
O -1.2213 -0.7051 3.9548
O 0.0000 0.0000 1.9755
O 0.0000 -1.6513 6.4217
O -1.4300 0.8256 6.4217
O 1.2213 -0.7051 3.9548
O 0.0000 1.4103 3.9548
O -1.4371 -0.8297 11.2586
O 1.4300 0.8256 6.4217
O 0.0000 -1.4111 13.7550
O -1.2221 0.7056 13.7550
O 1.4371 -0.8297 11.2586
O 0.0000 1.6595 11.2586
O 0.0000 0.0000 15.7360
O 1.2221 0.7056 13.7550
```

Output
Corrected total energy (MP2020 scheme), eV per atom: -6.288
Crystal system: trigonal
Largest piezoelectric modulus, C/m2: 0.15
Energy, eV/atom: -5.7414